# 1
Density functional theory data (PBE) for a geometry-optimized CeAu structure.

Geometry as POSCAR:
```
CeAu
1.0
4.7449 0.0000 0.0000
0.0000 6.0017 0.0000
0.0000 0.0000 7.4092
Ce Au
4 4
Direct
0.2500 0.6442 0.1826
0.7500 0.3558 0.8174
0.7500 0.1442 0.3174
0.2500 0.8558 0.6826
0.2500 0.1531 0.0412
0.7500 0.8469 0.9588
0.7500 0.6531 0.4588
0.2500 0.3469 0.5412
```

V, Å³/cell: 211.0


# 2
Density functional theory data (PBE) for a geometry-optimized Ce2Au structure.

Geometry as POSCAR:
```
Ce2Au
1.0
-1.9115 4.2518 1.8140
5.1381 0.1089 5.1590
5.5114 4.8635 -5.5918
Ce Au
8 4
Direct
0.7500 0.6593 0.5707
0.7500 0.1593 0.9293
0.2500 0.3407 0.4293
0.2500 0.8407 0.0707
0.7500 0.0133 0.3178
0.7500 0.5133 0.1822
0.2500 0.9867 0.6822
0.2500 0.4867 0.8178
0.7500 0.2450 0.6104
0.7500 0.7450 0.8896
0.2500 0.7550 0.3896
0.2500 0.2550 0.1104
```

V, Å³/cell: 336.4
Magnetization, μB per formula unit: 2.08


# 3
Density functional theory data (PBE) for a geometry-optimized CeAu3 structure.

Geometry as POSCAR:
```
CeAu3
1.0
-4.2707 4.8243 -0.7031
-0.3048 -3.8668 5.1926
2.9510 2.9587 2.3765
Ce Au
2 6
Direct
0.3333 0.6667 0.7500
0.6667 0.3333 0.2500
0.1570 0.3140 0.2500
0.6860 0.8430 0.2500
0.1570 0.8430 0.2500
0.8430 0.6860 0.7500
0.3140 0.1570 0.7500
0.8430 0.1570 0.7500
```

V, Å³/cell: 174.9


# 4
Density functional theory data (PBE) for a geometry-optimized CeAu structure.

Geometry as POSCAR:
```
CeAu
1.0
-3.8837 0.0000 0.0000
0.0000 0.0000 -4.7211
1.9419 -5.7283 0.0000
Ce Au
2 2
Direct
0.8598 0.2500 0.7196
0.1402 0.7500 0.2804
0.5846 0.2500 0.1692
0.4154 0.7500 0.8308
```

V, Å³/cell: 105.0


# 5
Density functional theory data (PBE) for a geometry-optimized K2CeAuCl6 structure.

Geometry as POSCAR:
```
K2CeAuCl6
1.0
0.0000 5.4677 5.4677
5.4677 0.0000 5.4677
5.4677 5.4677 0.0000
K Ce Au Cl
2 1 1 6
Direct
0.7500 0.7500 0.7500
0.2500 0.2500 0.2500
0.0000 0.0000 0.0000
0.5000 0.5000 0.5000
0.7498 0.2502 0.2502
0.2502 0.2502 0.7498
0.2502 0.7498 0.7498
0.2502 0.7498 0.2502
0.7498 0.2502 0.7498
0.7498 0.7498 0.2502
```

V, Å³/cell: 326.9
Magnetization, μB per formula unit: 1.00


# 6
Density functional theory data (PBE) for a geometry-optimized Rb2CeAuCl6 structure.

Geometry as POSCAR:
```
Rb2CeAuCl6
1.0
0.0000 5.4863 5.4863
5.4863 0.0000 5.4863
5.4863 5.4863 0.0000
Rb Ce Au Cl
2 1 1 6
Direct
0.7500 0.7500 0.7500
0.2500 0.2500 0.2500
0.0000 0.0000 0.0000
0.5000 0.5000 0.5000
0.7503 0.2497 0.2497
0.2497 0.2497 0.7503
0.2497 0.7503 0.7503
0.2497 0.7503 0.2497
0.7503 0.2497 0.7503
0.7503 0.7503 0.2497
```

V, Å³/cell: 330.3
Magnetization, μB per formula unit: 0.99


# 7
Density functional theory data (PBE) for a geometry-optimized CeGeAu structure.

Geometry as POSCAR:
```
CeGeAu
1.0
-0.7470 -4.3021 1.1886
4.3783 -2.2749 -5.4822
6.2589 0.2640 4.8891
Ce Ge Au
4 4 4
Direct
0.7500 0.5029 0.7949
0.2500 0.9971 0.2949
0.7500 0.0029 0.7051
0.2500 0.4971 0.2051
0.2500 0.7153 0.5964
0.2500 0.2153 0.9036
0.7500 0.2847 0.4036
0.7500 0.7847 0.0964
0.2500 0.8104 0.9226
0.2500 0.3104 0.5774
0.7500 0.6896 0.4226
0.7500 0.1896 0.0774
```

V, Å³/cell: 265.2
Magnetization, μB per formula unit: 1.02


# 8
Density functional theory data (PBE) for a geometry-optimized CeGeAu structure.

Geometry as POSCAR:
```
CeGeAu
1.0
0.0000 3.3548 3.3548
3.3548 0.0000 3.3548
3.3548 3.3548 0.0000
Ce Ge Au
1 1 1
Direct
0.5000 0.5000 0.5000
0.0000 0.0000 0.0000
0.7500 0.7500 0.7500
```

V, Å³/cell: 75.5
Magnetization, μB per formula unit: 1.01


no.,energy of formation (kJ/mol of formula units)
1,-123
2,-101
3,-225
4,-124
5,-1897
6,-1935
7,-208
8,-176